# 1
Below is a relaxed structure of CsRb3, with properties calculated at the r2SCAN level.

Computed properties:
* M_tot: 0.0 μB/cell
* E_form: 0.03 eV per atom

POSCAR file:
```
CsRb3
1.0
7.392 0.000 0.000
0.000 7.392 0.000
0.000 0.000 7.392
Cs Rb
1 3
Cartesian
0.000 0.000 0.000
0.000 3.696 3.696
3.696 0.000 3.696
3.696 3.696 0.000
```


# 2
Below is a relaxed structure of Cs4Re6S13, with properties calculated at the r2SCAN level.

Computed properties:
* M_tot: 0.0 μB/cell
* E_form: -0.90 eV per atom

POSCAR file:
```
Cs4Re6S13
1.0
5.053 -8.638 0.000
5.053 8.638 0.000
-2.504 0.000 13.569
Cs Re S
8 12 26
Cartesian
1.397 2.149 7.961
1.345 0.353 3.868
0.093 -0.353 10.653
2.649 -2.149 1.176
4.952 2.149 12.393
7.508 0.353 2.916
6.256 -0.353 9.701
6.204 -2.149 5.608
3.355 5.084 1.482
1.399 4.905 12.495
3.448 2.724 0.294
5.498 5.084 5.303
4.949 4.905 7.858
5.405 2.724 6.491
2.196 -2.724 7.078
2.652 -4.905 5.711
2.103 -5.084 8.266
4.152 -2.724 13.275
6.201 -4.905 1.074
4.246 -5.084 12.087
-1.175 1.594 13.495
4.426 6.198 3.392
2.963 5.499 9.149
2.875 3.040 2.618
1.399 2.713 11.497
3.469 4.100 6.115
3.385 5.499 11.204
0.077 -1.594 6.711
5.384 4.100 0.669
4.780 0.610 0.833
4.073 0.610 5.952
5.978 3.040 4.166
4.950 2.713 8.856
2.651 -2.713 4.713
1.623 -3.040 9.403
3.528 -0.610 7.617
2.821 -0.610 12.736
2.217 -4.100 12.900
7.524 1.594 6.858
4.216 -5.499 2.365
4.131 -4.100 7.454
6.202 -2.713 2.072
4.726 -3.040 10.951
4.637 -5.499 4.420
3.174 -6.198 10.177
8.776 -1.594 0.074
```


# 3
Below is a relaxed structure of Cs2S5, with properties calculated at the r2SCAN level.

Computed properties:
* M_tot: 0.0 μB/cell
* E_form: -0.74 eV per atom

POSCAR file:
```
Cs2S5
1.0
6.882 0.000 0.000
0.000 7.270 0.000
0.000 0.000 18.572
Cs S
8 20
Cartesian
0.519 1.769 3.034
0.779 0.565 9.609
2.662 6.706 0.323
2.922 5.502 12.320
3.960 1.866 15.538
4.220 3.070 8.963
6.103 4.200 18.249
6.363 5.404 6.252
0.235 5.354 2.860
0.458 6.515 15.084
0.476 0.874 16.375
0.616 4.184 9.792
1.712 5.015 15.804
1.729 2.255 6.518
2.825 3.086 0.506
2.965 6.397 7.089
2.983 0.755 5.798
3.206 1.917 12.146
3.676 5.552 15.711
3.899 4.390 3.487
3.917 2.761 2.197
4.057 6.721 8.780
5.153 5.890 2.768
5.170 1.380 12.054
6.266 0.549 18.066
6.406 4.509 11.483
6.424 2.880 12.773
6.647 1.718 6.425
```